Entry 1:
The following is a DFT calculation (PBE) of a geometry-optimized SiSe2 structure.

a b c (Å): 5.932 6.598 7.038
angles (deg): 117.95 114.92 90.00
Fractional positions:
1 Si 0.750 0.000 0.000
2 Si 0.250 0.000 0.000
3 Se 0.112 0.304 0.224
4 Se 0.888 0.696 0.776
5 Se 0.388 0.080 0.776
6 Se 0.612 0.920 0.224

Its total energy is -4.59 eV/atom. The formation energy is -0.766 eV per atom.

Entry 2:
The following is a DFT calculation (PBE) of a geometry-optimized SiSe2 structure.

a b c (Å): 6.636 6.636 6.636
angles (deg): 126.90 113.64 89.92
Fractional positions:
1 Si 0.000 0.750 0.750
2 Si 0.000 0.250 0.250
3 Se 0.955 0.630 0.325
4 Se 0.305 0.130 0.175
5 Se 0.045 0.370 0.675
6 Se 0.695 0.870 0.825

Its total energy is -4.58 eV/atom. The formation energy is -0.760 eV per atom.

Entry 3:
The following is a DFT calculation (PBE) of a geometry-optimized SiSe2 structure.

a b c (Å): 7.036 7.036 7.036
angles (deg): 100.21 100.21 130.21
Fractional positions:
1 Si 0.750 0.250 0.500
2 Si 0.250 0.750 0.500
3 Se 0.138 0.362 0.500
4 Se 0.638 0.138 0.776
5 Se 0.862 0.638 0.500
6 Se 0.362 0.862 0.224

Its total energy is -4.59 eV/atom. The formation energy is -0.762 eV per atom.

Entry 4:
The following is a DFT calculation (PBE) of a geometry-optimized SiSe2 structure.

a b c (Å): 6.999 17.533 6.355
angles (deg): 90.00 104.12 90.00
Fractional positions:
1 Si 0.117 0.065 0.120
2 Si 0.883 0.565 0.380
3 Si 0.883 0.935 0.880
4 Si 0.117 0.435 0.620
5 Si 0.350 0.195 0.347
6 Si 0.650 0.695 0.153
7 Si 0.650 0.805 0.653
8 Si 0.350 0.305 0.847
9 Se 0.014 0.181 0.225
10 Se 0.986 0.681 0.275
11 Se 0.986 0.819 0.775
12 Se 0.014 0.319 0.725
13 Se 0.477 0.302 0.220
14 Se 0.523 0.802 0.280
15 Se 0.523 0.698 0.780
16 Se 0.477 0.198 0.720
17 Se 0.454 0.079 0.247
18 Se 0.546 0.579 0.253
19 Se 0.546 0.921 0.753
20 Se 0.454 0.421 0.747
21 Se 0.003 0.456 0.252
22 Se 0.997 0.956 0.248
23 Se 0.997 0.544 0.748
24 Se 0.003 0.044 0.752

Its total energy is -4.58 eV/atom. The formation energy is -0.761 eV per atom.

Entry 5:
The following is a DFT calculation (PBE) of a geometry-optimized Ta11Si2Se8 structure.

a b c (Å): 3.494 11.983 19.534
angles (deg): 90.00 90.00 90.00
Fractional positions:
1 Ta 0.000 0.562 0.113
2 Ta 0.000 0.438 0.887
3 Ta 0.500 0.938 0.613
4 Ta 0.500 0.062 0.387
5 Ta 0.000 0.320 0.047
6 Ta 0.000 0.680 0.953
7 Ta 0.500 0.180 0.547
8 Ta 0.500 0.820 0.453
9 Ta 0.000 0.046 0.258
10 Ta 0.000 0.954 0.742
11 Ta 0.500 0.454 0.758
12 Ta 0.500 0.546 0.242
13 Ta 0.000 0.000 0.500
14 Ta 0.500 0.500 0.000
15 Ta 0.000 0.337 0.213
16 Ta 0.000 0.663 0.787
17 Ta 0.500 0.163 0.713
18 Ta 0.500 0.837 0.287
19 Ta 0.000 0.323 0.644
20 Ta 0.000 0.677 0.356
21 Ta 0.500 0.177 0.144
22 Ta 0.500 0.823 0.856
23 Si 0.000 0.094 0.628
24 Si 0.000 0.906 0.372
25 Si 0.500 0.406 0.128
26 Si 0.500 0.594 0.872
27 Se 0.000 0.713 0.214
28 Se 0.000 0.287 0.786
29 Se 0.500 0.787 0.714
30 Se 0.500 0.213 0.286
31 Se 0.000 0.107 0.054
32 Se 0.000 0.893 0.946
33 Se 0.500 0.393 0.554
34 Se 0.500 0.607 0.446
35 Se 0.000 0.212 0.442
36 Se 0.000 0.788 0.558
37 Se 0.500 0.288 0.942
38 Se 0.500 0.712 0.058
39 Se 0.000 0.458 0.327
40 Se 0.000 0.542 0.673
41 Se 0.500 0.042 0.827
42 Se 0.500 0.958 0.173

Its total energy is -8.74 eV/atom. The formation energy is -0.863 eV per atom.

Entry 6:
The following is a DFT calculation (PBE) of a geometry-optimized ZrSiSe structure.

a b c (Å): 3.617 3.617 8.676
angles (deg): 90.00 90.00 90.00
Fractional positions:
1 Zr 0.000 0.500 0.751
2 Zr 0.500 0.000 0.249
3 Si 0.000 0.000 0.000
4 Si 0.500 0.500 0.000
5 Se 0.500 0.000 0.628
6 Se 0.000 0.500 0.372

Its total energy is -6.90 eV/atom. The formation energy is -1.234 eV per atom.

Entry 7:
The following is a DFT calculation (PBE) of a geometry-optimized Sm3Se4 structure.

a b c (Å): 7.665 7.665 7.665
angles (deg): 109.47 109.47 109.47
Fractional positions:
1 Sm 0.875 0.250 0.125
2 Sm 0.125 0.875 0.250
3 Sm 0.375 0.625 0.750
4 Sm 0.250 0.125 0.875
5 Sm 0.750 0.375 0.625
6 Sm 0.625 0.750 0.375
7 Se 0.500 0.000 0.647
8 Se 0.147 0.500 0.000
9 Se 0.353 0.353 0.353
10 Se 0.000 0.147 0.500
11 Se 0.853 0.853 0.853
12 Se 0.000 0.647 0.500
13 Se 0.500 0.000 0.147
14 Se 0.647 0.500 0.000

Its total energy is -5.85 eV/atom. The formation energy is -2.099 eV per atom.

Entry 8:
The following is a DFT calculation (PBE) of a geometry-optimized SmSe structure.

a b c (Å): 4.654 4.654 7.510
angles (deg): 90.00 90.00 120.00
Fractional positions:
1 Sm 0.667 0.333 0.501
2 Sm 0.333 0.667 0.001
3 Se 0.667 0.333 0.124
4 Se 0.333 0.667 0.624

Its total energy is -5.38 eV/atom. The formation energy is -1.510 eV per atom.

Entry 9:
The following is a DFT calculation (PBE) of a geometry-optimized Sm5Se9 structure.

a b c (Å): 9.105 9.258 9.349
angles (deg): 112.79 101.02 90.43
Fractional positions:
1 Sm 0.695 0.637 0.741
2 Sm 0.305 0.363 0.259
3 Sm 0.485 0.238 0.721
4 Sm 0.104 0.961 0.275
5 Sm 0.306 0.852 0.739
6 Sm 0.907 0.565 0.286
7 Sm 0.093 0.435 0.714
8 Sm 0.694 0.148 0.261
9 Sm 0.896 0.039 0.725
10 Sm 0.515 0.762 0.279
11 Se 0.637 0.508 0.996
12 Se 0.455 0.160 0.998
13 Se 0.545 0.840 0.002
14 Se 0.771 0.296 0.631
15 Se 0.363 0.492 0.004
16 Se 0.418 0.092 0.360
17 Se 0.582 0.908 0.640
18 Se 0.037 0.369 0.000
19 Se 0.140 0.046 0.000
20 Se 0.229 0.704 0.369
21 Se 0.860 0.954 0.000
22 Se 0.372 0.504 0.626
23 Se 0.015 0.295 0.358
24 Se 0.963 0.631 0.000
25 Se 0.172 0.105 0.631
26 Se 0.828 0.895 0.369
27 Se 0.985 0.705 0.642
28 Se 0.628 0.496 0.374

Its total energy is -5.61 eV/atom. The formation energy is -1.983 eV per atom.

Entry 10:
The following is a DFT calculation (PBE) of a geometry-optimized SmSe structure.

a b c (Å): 4.175 4.175 4.175
angles (deg): 60.00 60.00 60.00
Fractional positions:
1 Sm 0.500 0.500 0.500
2 Se 0.000 0.000 0.000

Its total energy is -5.92 eV/atom. The formation energy is -2.046 eV per atom.

Entry 11:
The following is a DFT calculation (PBE) of a geometry-optimized SrSm2Se4 structure.

a b c (Å): 7.793 7.793 7.793
angles (deg): 109.40 109.40 109.60
Fractional positions:
1 Sr 0.000 0.000 0.000
2 Sr 0.250 0.750 0.500
3 Sm 0.125 0.501 0.876
4 Sm 0.499 0.375 0.624
5 Sm 0.625 0.249 0.124
6 Sm 0.751 0.875 0.376
7 Se 0.863 0.614 0.096
8 Se 0.864 0.613 0.596
9 Se 0.386 0.482 0.248
10 Se 0.017 0.268 0.404
11 Se 0.233 0.137 0.752
12 Se 0.518 0.767 0.904
13 Se 0.387 0.983 0.252
14 Se 0.732 0.136 0.748

Its total energy is -5.51 eV/atom. The formation energy is -2.191 eV per atom.

Entry 12:
The following is a DFT calculation (PBE) of a geometry-optimized SmTlSe2 structure.

a b c (Å): 4.287 4.287 8.134
angles (deg): 74.72 74.72 60.00
Fractional positions:
1 Sm 0.000 0.000 0.000
2 Tl 0.500 0.500 0.500
3 Se 0.736 0.736 0.792
4 Se 0.264 0.264 0.208

Its total energy is -4.90 eV/atom. The formation energy is -1.616 eV per atom.